The following is a DFT calculation (PBE) of a geometry-optimized Co6W20C7 structure.

Cell: 7.876 7.876 7.881 Å, 90.00 90.00 120.00°
Fractional positions:
W (0.882, 0.764, 0.000)
W (0.781, 0.219, 0.500)
W (0.781, 0.562, 0.500)
W (0.533, 0.467, 0.821)
W (0.130, 0.870, 0.678)
W (0.533, 0.066, 0.821)
W (0.533, 0.467, 0.179)
W (0.130, 0.259, 0.678)
W (0.130, 0.259, 0.322)
W (0.438, 0.219, 0.500)
W (0.934, 0.467, 0.821)
W (0.741, 0.870, 0.322)
W (0.130, 0.870, 0.322)
W (0.741, 0.870, 0.678)
W (0.333, 0.667, 0.751)
W (0.934, 0.467, 0.179)
W (0.882, 0.118, 0.000)
W (0.533, 0.066, 0.179)
W (0.236, 0.118, 0.000)
W (0.333, 0.667, 0.249)
Co (0.555, 0.778, 0.000)
Co (0.111, 0.555, 0.500)
Co (0.222, 0.445, 0.000)
Co (0.445, 0.889, 0.500)
Co (0.222, 0.778, 0.000)
Co (0.445, 0.555, 0.500)
C (0.338, 0.169, 0.750)
C (0.831, 0.662, 0.750)
C (0.831, 0.662, 0.250)
C (0.000, 0.000, 0.500)
C (0.338, 0.169, 0.250)
C (0.831, 0.169, 0.250)
C (0.831, 0.169, 0.750)

Properties
The total energy comes out at -368.2 eV for the cell shown. For the density, the calculation gives 16.14 g/cm3. The calculation puts the total magnetization at 0.0 μB per formula unit. The value obtained for the formation energy is -5.2 kJ per mole of atoms.